No. 1
Here is a relaxed K3FeF3 crystal from Materials Project. Energies are from PBE with a Hubbard U. Values from VASP.

## Properties
crystal system = triclinic
DFT formation energy = -1322 kJ/mol of formula units

The structure in Quantum ESPRESSO input format:
```
&SYSTEM
  ibrav = 0, nat = 14, ntyp = 3
/
ATOMIC_SPECIES
K 39.10 K.upf
Fe 55.84 Fe.upf
F 19.00 F.upf
ATOMIC_POSITIONS crystal
K 0.6539 0.6056 0.1225
K 0.1337 0.1345 0.6215
K 0.2666 0.2427 0.2471
K 0.7664 0.7435 0.7512
K 0.8770 0.8783 0.3778
K 0.3813 0.3708 0.8650
Fe 0.0527 0.9772 0.9881
Fe 0.5442 0.4913 0.4909
F 0.1328 0.6352 0.0936
F 0.6529 0.1596 0.6200
F 0.7153 0.0889 0.1311
F 0.3910 0.8505 0.4046
F 0.1770 0.5539 0.5961
F 0.9052 0.3382 0.9004
CELL_PARAMETERS angstrom
5.9421 0.0000 0.0000
2.6348 5.5842 0.0000
1.9548 0.6365 9.8712
```

No. 2
Here is a relaxed Li3V3P8O29 crystal from Materials Project. Energies are from PBE with a Hubbard U. Values from VASP.

## Properties
crystal system = monoclinic
DFT formation energy = -10509 kJ/mol of formula units

The structure in Quantum ESPRESSO input format:
```
&SYSTEM
  ibrav = 0, nat = 86, ntyp = 4
/
ATOMIC_SPECIES
Li 6.94 Li.upf
V 50.94 V.upf
P 30.97 P.upf
O 16.00 O.upf
ATOMIC_POSITIONS crystal
Li 0.3221 0.9111 0.5547
Li 0.9111 0.3221 0.0547
Li 0.7729 0.9075 0.0594
Li 0.9075 0.7729 0.5594
Li 0.0695 0.9471 0.0109
Li 0.9471 0.0695 0.5109
V 0.9982 0.4374 0.2530
V 0.0010 0.5604 0.7472
V 0.4374 0.9982 0.7530
V 0.5604 0.0010 0.2472
V 0.4394 0.5625 0.2476
V 0.5625 0.4394 0.7476
P 0.3038 0.7763 0.8407
P 0.3129 0.9094 0.3401
P 0.7763 0.3038 0.3407
P 0.6717 0.6644 0.1327
P 0.6644 0.6717 0.6327
P 0.9094 0.3129 0.8401
P 0.0865 0.2165 0.6626
P 0.7769 0.9080 0.8427
P 0.2165 0.0865 0.1626
P 0.9080 0.7769 0.3427
P 0.0876 0.6956 0.1672
P 0.3336 0.3330 0.3615
P 0.3330 0.3336 0.8615
P 0.2210 0.6961 0.6603
P 0.6956 0.0876 0.6672
P 0.6961 0.2210 0.1603
O 0.2125 0.7963 0.5808
O 0.3461 0.7386 0.3269
O 0.1962 0.0059 0.0831
O 0.3447 0.9113 0.8263
O 0.4590 0.6167 0.8271
O 0.5267 0.6631 0.1801
O 0.6167 0.4590 0.3271
O 0.7963 0.2125 0.0808
O 0.7386 0.3461 0.8269
O 0.5146 0.8190 0.6749
O 0.4710 0.9097 0.3201
O 0.6631 0.5267 0.6801
O 0.6767 0.6571 0.0310
O 0.6571 0.6767 0.5310
O 0.8190 0.5146 0.1749
O 0.6191 0.9084 0.8252
O 0.6718 0.8156 0.1697
O 0.9113 0.3447 0.3263
O 0.0119 0.1959 0.7585
O 0.0059 0.1962 0.5831
O 0.9773 0.2431 0.9306
O 0.9097 0.4710 0.8201
O 0.8156 0.6718 0.6697
O 0.0834 0.2634 0.1653
O 0.9084 0.6191 0.3252
O 0.7390 0.9157 0.3225
O 0.1959 0.0119 0.2585
O 0.2431 0.9773 0.4306
O 0.8028 0.9989 0.5893
O 0.2634 0.0834 0.6653
O 0.0764 0.3804 0.6711
O 0.9157 0.7390 0.8225
O 0.1828 0.3373 0.3187
O 0.0770 0.5431 0.1752
O 0.9989 0.8028 0.0893
O 0.9660 0.7869 0.4347
O 0.0171 0.7886 0.2636
O 0.0852 0.6558 0.6591
O 0.3373 0.1828 0.8187
O 0.3804 0.0764 0.1711
O 0.1838 0.4766 0.8136
O 0.3259 0.3368 0.9625
O 0.3368 0.3259 0.4625
O 0.3362 0.4776 0.3169
O 0.5431 0.0770 0.6752
O 0.4766 0.1838 0.3136
O 0.2630 0.6531 0.1680
O 0.1943 0.7934 0.7540
O 0.2138 0.7966 0.9259
O 0.3812 0.5405 0.6725
O 0.4776 0.3362 0.8169
O 0.5405 0.3812 0.1725
O 0.6558 0.0852 0.1591
O 0.7869 0.9660 0.9347
O 0.7886 0.0171 0.7636
O 0.6531 0.2630 0.6680
O 0.7966 0.2138 0.4259
O 0.7934 0.1943 0.2540
CELL_PARAMETERS angstrom
4.8934 8.4544 0.0000
-4.8934 8.4544 0.0000
0.0000 0.1403 14.5549
```